No. 1
VASP calculation (meta-GGA r2SCAN) on YbNi2Sn after structural relaxation.

a b c (Å): 6.3509 6.3509 6.3509
angles (deg): 90.00 90.00 90.00
Sites, in units of the cell vectors:
Yb 0.0000 0.0000 0.0000
Yb 0.0000 0.5000 0.5000
Yb 0.5000 0.0000 0.5000
Yb 0.5000 0.5000 0.0000
Ni 0.2500 0.2500 0.2500
Ni 0.2500 0.2500 0.7500
Ni 0.2500 0.7500 0.2500
Ni 0.2500 0.7500 0.7500
Ni 0.7500 0.2500 0.2500
Ni 0.7500 0.2500 0.7500
Ni 0.7500 0.7500 0.2500
Ni 0.7500 0.7500 0.7500
Sn 0.0000 0.0000 0.5000
Sn 0.0000 0.5000 0.0000
Sn 0.5000 0.0000 0.0000
Sn 0.5000 0.5000 0.5000

## Properties
The value obtained for the density is 10.6 Mg/m³. The crystal system is cubic. Its space group is Fm-3m, No. 225. Its formation energy is -2.0 eV/f.u. The calculation puts the calculated volume at 256.2 Å³ per cell.


No. 2
VASP calculation (meta-GGA r2SCAN) on LiYbCu2P2 after structural relaxation.

a b c (Å): 3.9327 3.9327 6.5004
angles (deg): 90.00 90.00 120.00
Sites, in units of the cell vectors:
Li 0.0000 0.0000 0.0000
Yb 0.0000 0.0000 0.5000
Cu 0.3333 0.6667 0.8296
Cu 0.6667 0.3333 0.1704
P 0.3333 0.6667 0.2423
P 0.6667 0.3333 0.7577

## Properties
The value obtained for the density is 7.0 Mg/m³. The crystal system is trigonal. Its space group is P-3m1, No. 164. Its formation energy is -5.3 eV/f.u. The calculation puts the calculated volume at 87.1 Å³ per cell.